The following is a PBE with a Hubbard U calculation of a relaxed structure of Li7NiO4F2, from Materials Project.

The structure in POSCAR format:
```
Li7NiO4F2
1.0
5.304 0.000 0.000
2.392 5.205 0.000
0.608 2.593 9.775
Li Ni O F
14 2 8 4
Cartesian
0.000 0.000 0.000
6.247 2.152 0.764
1.071 2.266 4.682
4.287 5.300 7.020
3.462 2.487 2.972
3.967 4.344 9.254
4.521 4.773 4.000
2.766 0.535 1.843
4.216 3.528 0.761
3.769 2.560 6.029
6.216 3.884 7.509
6.972 5.213 5.379
6.801 3.813 2.453
7.449 5.973 8.333
2.925 2.237 8.192
5.402 0.798 2.604
1.549 1.975 2.734
2.124 3.727 9.086
3.429 4.453 2.204
3.968 6.305 8.772
4.384 3.289 7.747
6.051 6.017 7.069
4.398 1.611 1.176
6.313 5.374 3.517
1.896 3.367 5.926
3.506 5.688 5.338
4.595 2.929 4.449
6.112 4.006 0.590
```

Calculated values
Size of the total moment in Bohr magnetons per cell: 4.0
Excess energy over the best structure of this formula in the dataset in meV per atom: 6
Energy in eV per cell: -132.67


The following is a PBE with a Hubbard U calculation of a relaxed structure of Li4Ni3O2F6, from Materials Project.

The structure in POSCAR format:
```
Li4Ni3O2F6
1.0
1.490 0.877 4.833
10.303 -0.833 -4.803
0.019 5.157 0.012
Li F Ni O
8 12 6 4
Cartesian
5.935 0.138 0.087
8.817 5.137 0.098
7.343 2.490 -0.046
0.038 0.116 0.072
2.920 5.115 0.084
4.479 2.648 -0.046
1.446 2.468 -0.062
10.376 2.670 -0.031
2.943 1.574 -1.192
8.839 1.596 -1.177
4.501 4.387 -1.063
5.965 3.425 1.183
2.899 3.377 1.100
7.331 4.360 -1.131
2.925 5.215 3.687
8.844 0.177 -3.601
8.795 3.399 1.116
10.371 2.570 -3.635
4.438 1.032 1.217
10.398 4.408 -1.048
1.498 4.309 2.428
2.894 1.728 2.414
5.978 1.755 2.445
10.383 0.899 -2.374
5.904 3.454 -2.390
7.298 0.873 -2.404
7.380 0.830 1.324
1.490 2.653 3.534
5.897 1.798 -1.284
1.484 0.808 1.309
```

Calculated values
Size of the total moment in Bohr magnetons per cell: 0.0
Energy in eV per cell: -141.12


The following is a PBE with a Hubbard U calculation of a relaxed structure of Li3Ni4O4F3, from Materials Project.

The structure in POSCAR format:
```
Li3Ni4O4F3
1.0
-1.478 1.478 14.609
1.478 -1.478 14.609
1.478 1.478 -14.609
Li Ni O F
3 4 4 3
Cartesian
0.000 0.000 0.000
0.000 0.000 12.557
0.000 0.000 16.661
0.000 0.000 4.159
0.000 0.000 8.368
0.000 0.000 20.849
0.000 0.000 25.059
0.000 0.000 6.250
0.000 0.000 10.484
0.000 0.000 18.733
0.000 0.000 22.968
0.000 0.000 1.997
0.000 0.000 14.609
0.000 0.000 27.221
```

Calculated values
Size of the total moment in Bohr magnetons per cell: 8.0
Energy in eV per cell: -68.18


The following is a PBE with a Hubbard U calculation of a relaxed structure of LiNi5O3F5, from Materials Project.

The structure in POSCAR format:
```
LiNi5O3F5
1.0
5.237 -3.025 0.000
5.237 3.025 0.000
-3.476 0.000 10.001
Li Ni O F
2 10 6 10
Cartesian
0.000 0.000 0.000
3.503 0.000 4.992
2.606 1.545 1.901
-1.699 0.000 6.901
0.868 1.482 6.903
0.010 0.000 3.440
0.010 0.000 9.194
0.868 -1.482 6.903
2.606 -1.545 1.901
5.276 0.000 1.898
3.504 0.000 8.431
6.994 0.000 4.197
1.635 0.000 7.973
4.438 1.619 7.974
6.175 1.403 2.970
6.175 -1.403 2.970
8.615 0.000 2.966
4.438 -1.619 7.974
2.556 1.637 5.630
0.008 0.000 5.661
1.889 0.000 0.628
4.294 1.386 0.627
3.497 0.000 3.000
4.294 -1.386 0.627
6.984 0.000 0.658
2.556 -1.637 5.630
5.394 0.000 5.630
6.998 0.000 7.999
```

Calculated values
Size of the total moment in Bohr magnetons per cell: 0.0
Energy in eV per cell: -129.19


The following is a PBE with a Hubbard U calculation of a relaxed structure of Li2Ni4OF8, from Materials Project.

The structure in POSCAR format:
```
Li2Ni4OF8
1.0
4.478 -2.558 0.000
4.478 2.558 0.000
-0.118 0.000 14.057
Li Ni O F
4 8 2 16
Cartesian
4.308 2.498 11.226
4.419 2.537 7.028
4.367 -2.498 4.198
4.478 -2.537 0.000
2.865 0.087 11.725
2.963 0.037 9.013
3.022 -0.037 1.985
2.924 -0.087 4.697
6.049 0.093 2.501
5.874 0.017 13.667
5.933 -0.017 6.638
5.990 -0.093 9.529
2.932 1.473 10.337
2.991 -1.473 3.308
3.021 1.711 5.710
1.578 0.833 3.353
4.395 0.973 12.740
5.803 1.734 5.702
4.348 0.842 3.327
1.519 -0.833 10.382
5.960 1.593 0.958
4.607 0.759 8.027
4.289 -0.842 10.355
7.304 0.794 8.002
4.666 -0.759 0.999
2.962 -1.711 12.739
4.454 -0.973 5.711
5.901 -1.593 7.986
7.363 -0.794 0.973
5.744 -1.734 12.731
```

Calculated values
Size of the total moment in Bohr magnetons per cell: 16.0
Energy in eV per cell: -134.96


The following is a PBE with a Hubbard U calculation of a relaxed structure of Li5Ni5O9F, from Materials Project.

The structure in POSCAR format:
```
Li5Ni5O9F
1.0
4.983 0.000 0.000
-1.643 5.551 0.000
-0.947 -1.818 6.236
Li Ni O F
5 5 9 1
Cartesian
0.000 0.000 0.000
-0.142 1.499 2.453
-0.168 2.931 4.950
2.367 0.750 1.236
2.344 2.246 3.716
-0.928 4.278 2.460
0.616 0.219 4.962
1.595 3.532 1.194
3.192 -0.511 3.662
3.157 1.001 6.203
-1.077 1.108 4.312
-1.839 4.153 4.322
0.812 1.827 0.485
0.050 4.471 0.669
1.528 0.357 3.240
0.683 3.418 3.036
1.423 1.810 5.573
3.158 2.641 1.789
4.156 -0.364 1.859
2.331 -0.905 5.633
```

Calculated values
Size of the total moment in Bohr magnetons per cell: 6.0
Energy in eV per cell: -97.53


The following is a PBE with a Hubbard U calculation of a relaxed structure of Li7NiO4F2, from Materials Project.

The structure in POSCAR format:
```
Li7NiO4F2
1.0
5.356 0.000 0.000
2.470 5.067 0.000
0.723 2.702 9.675
Li Ni O F
14 2 8 4
Cartesian
0.000 0.000 0.000
2.246 5.364 6.138
2.524 5.274 2.152
1.066 2.861 7.587
4.073 4.123 4.757
4.454 4.114 0.672
4.100 4.303 9.134
4.280 4.312 7.003
3.420 1.752 1.625
5.495 6.729 8.256
3.111 1.201 3.738
6.326 3.224 3.235
6.083 2.893 5.317
7.407 5.317 8.307
2.970 1.669 5.957
6.416 2.479 0.624
2.526 3.462 0.437
2.433 3.632 6.922
2.565 3.336 9.672
4.182 5.944 6.509
4.295 2.478 5.515
5.729 5.151 8.801
5.879 4.762 4.886
5.183 1.895 1.319
1.198 1.530 3.736
2.846 3.101 3.104
6.014 5.075 2.109
7.333 7.006 8.003
```

Calculated values
Size of the total moment in Bohr magnetons per cell: 0.0
Excess energy over the best structure of this formula in the dataset in meV per atom: 445
Energy in eV per cell: -120.36


The following is a PBE with a Hubbard U calculation of a relaxed structure of Li5Ni3O5F3, from Materials Project.

The structure in POSCAR format:
```
Li5Ni3O5F3
1.0
5.599 0.000 0.000
-0.036 5.756 0.000
-2.751 -2.888 4.460
Li Ni O F
5 3 5 3
Cartesian
0.000 0.000 0.000
-0.036 2.789 0.041
1.436 1.398 2.223
2.847 2.803 0.004
4.236 1.392 2.126
-1.380 4.272 2.212
0.073 2.862 4.452
1.464 -1.475 2.370
0.014 -0.254 2.202
-0.009 2.987 2.378
2.872 -0.213 2.035
1.473 -1.484 4.419
2.864 3.041 2.229
-1.372 1.358 4.319
1.394 1.434 0.284
1.474 1.355 4.163
```

Calculated values
Excess energy over the best structure of this formula in the dataset in meV per atom: 0
Energy in eV per cell: -76.64


The following is a PBE with a Hubbard U calculation of a relaxed structure of LiNi4O4F, from Materials Project.

The structure in POSCAR format:
```
LiNi4O4F
1.0
-1.482 1.482 10.584
1.482 -1.482 10.584
1.482 1.482 -10.584
Li Ni O F
1 4 4 1
Cartesian
0.000 0.000 0.000
0.000 0.000 4.226
0.000 0.000 8.429
0.000 0.000 12.740
0.000 0.000 16.943
0.000 0.000 2.114
0.000 0.000 6.346
0.000 0.000 14.822
0.000 0.000 19.055
0.000 0.000 10.584
```

Calculated values
Size of the total moment in Bohr magnetons per cell: 8.0
Energy in eV per cell: -48.79


The following is a PBE with a Hubbard U calculation of a relaxed structure of Li3Ni5OF11, from Materials Project.

The structure in POSCAR format:
```
Li3Ni5OF11
1.0
5.128 0.000 0.000
2.503 4.885 0.000
0.047 2.684 8.480
Li Ni O F
3 5 1 11
Cartesian
0.000 0.000 0.000
2.542 5.206 3.007
5.158 6.485 7.344
2.592 4.289 6.396
2.556 2.222 0.816
5.222 6.173 4.221
5.049 2.901 2.208
5.092 3.414 5.042
4.418 2.078 3.853
1.654 1.668 2.523
1.812 2.632 5.470
1.831 3.476 8.090
3.345 5.715 7.574
3.335 3.872 1.712
3.583 4.813 4.709
4.159 3.038 6.790
4.293 1.297 1.184
5.915 4.373 3.358
5.942 5.179 5.989
6.071 3.410 0.500
```

Calculated values
Size of the total moment in Bohr magnetons per cell: 10.0
Excess energy over the best structure of this formula in the dataset in meV per atom: 2
Energy in eV per cell: -90.29


The following is a PBE with a Hubbard U calculation of a relaxed structure of Li2NiOF2, from Materials Project.

The structure in POSCAR format:
```
Li2NiOF2
1.0
2.931 0.000 0.000
0.000 2.931 0.000
0.000 0.000 12.456
Li Ni O F
4 2 2 4
Cartesian
0.733 0.733 0.997
0.733 0.733 9.392
2.198 2.198 3.064
2.198 2.198 11.459
0.733 0.733 5.194
2.198 2.198 7.262
0.733 0.733 7.303
2.198 2.198 5.153
0.733 0.733 3.008
0.733 0.733 11.447
2.198 2.198 1.009
2.198 2.198 9.448
```

Calculated values
Size of the total moment in Bohr magnetons per cell: 4.0
Energy in eV per cell: -58.18


The following is a PBE with a Hubbard U calculation of a relaxed structure of Li3Ni3OF7, from Materials Project.

The structure in POSCAR format:
```
Li3Ni3OF7
1.0
4.259 -4.254 -0.001
0.000 4.253 -4.253
8.462 4.199 4.199
F Li Ni O
14 6 6 2
Cartesian
5.359 3.098 1.094
9.484 0.970 3.213
1.128 3.125 -3.132
5.253 -1.014 0.998
3.133 1.124 -3.129
3.239 0.995 0.995
5.253 0.998 -1.014
5.358 5.347 -1.156
7.310 3.055 3.055
3.080 3.082 -1.172
1.128 1.121 -1.129
7.470 5.221 0.968
7.364 1.097 1.097
9.485 3.212 0.970
4.265 0.004 -4.249
10.660 2.140 2.140
9.522 5.258 1.005
8.496 -0.023 -0.023
6.429 2.167 -2.086
5.291 1.032 1.032
7.409 5.193 -1.106
3.178 3.174 -3.286
7.409 3.146 0.940
5.230 -1.080 -1.080
3.178 0.967 -1.079
9.458 3.147 -1.106
3.290 -0.972 -0.972
7.521 3.255 -0.999
```

Calculated values
Size of the total moment in Bohr magnetons per cell: 0.0
Energy in eV per cell: -129.51


Table of energy relative to the elements (eV/atom), in record order: -2.1274; -2.3979; -2.0066; -1.8889; -2.3215; -1.5992; -1.6879; -1.9821; -1.5427; -2.4062; -2.4776; -2.4916